{
  "formula": "Be3Fe",
  "functional": "PBE",
  "state": "relaxed",
  "lattice_angstrom": [[3.2409, 0.0000, 0.0000], [0.0000, 3.2409, 0.0000], [0.0000, 0.0000, 3.2409]],
  "species": ["Fe", "Be", "Be", "Be"],
  "frac_coords": [[0.0000, 0.0000, 0.0000], [0.0000, 0.5000, 0.5000], [0.5000, 0.5000, 0.0000], [0.5000, 0.0000, 0.5000]]
}



{
  "formula": "Be5Fe",
  "functional": "PBE",
  "state": "relaxed",
  "lattice_angstrom": [[0.0000, 2.9173, 2.9173], [2.9173, 0.0000, 2.9173], [2.9173, 2.9173, 0.0000]],
  "species": ["Be", "Be", "Be", "Be", "Be", "Fe"],
  "frac_coords": [[0.6260, 0.1219, 0.6260], [0.1219, 0.6260, 0.6260], [0.2500, 0.2500, 0.2500], [0.6260, 0.6260, 0.1219], [0.6260, 0.6260, 0.6260], [0.0000, 0.0000, 0.0000]]
}



Result set for theoretical density: 4.0; 3.4 g/cm³, one per record in the order listed.
Result set for V: 8.510; 8.276 A^3/atom, one per record in the order listed.
Result set for E_form: -0.21; -0.09 eV per atom, one per record in the order listed.